Compound: HgH12C12S2N2O4
Source: the Materials Project
Functional: PBE-GGA
Structure: optimized geometry

Cell lengths 15.8422, 15.8422, 28.1276 Å; angles 90.00, 90.00, 90.00 degrees
Closest atoms and distances in Å follow each position.
Space group I4_1/acd (No. 142, origin choice 2)
Unique sites:
Hg 0.0000 0.0000 0.0000 [16 per cell]  2 S 2.45
H 0.0122 0.0862 0.3762 [32 per cell]  1 C 1.10
H 0.0234 0.1209 0.1878 [32 per cell]  1 C 1.09
H 0.0399 0.1104 0.3164 [32 per cell]  1 C 1.10
H 0.0674 0.1240 0.8360 [32 per cell]  1 C 1.09
H 0.0762 0.0591 0.1434 [32 per cell]  1 C 1.10
H 0.0888 0.0333 0.2045 [32 per cell]  1 C 1.10
C 0.0105 0.0855 0.8393 [32 per cell]  3 H 1.09-1.10
C 0.0440 0.0574 0.1780 [32 per cell]  3 H 1.09-1.10
C 0.1069 0.0270 0.6836 [32 per cell]  1 N 1.32, 1 C 1.43
C 0.1464 0.1033 0.5518 [32 per cell]  2 C 1.43-1.46
C 0.1842 0.0193 0.5523 [32 per cell]  1 O 1.24
C 0.1909 0.0177 0.8173 [32 per cell]  1 O 1.22
S 0.0469 0.1325 0.5361 [32 per cell]  1 C 1.70
N 0.0290 0.0014 0.6751 [32 per cell]  3 C 1.32-1.46
O 0.1557 0.0516 0.9573 [32 per cell]  1 C 1.24
O 0.1598 0.0363 0.4245 [32 per cell]  1 C 1.22

Output
The formation energy is -0.29 eV/atom. The crystal system is tetragonal. The value obtained for the magnetization is 0.0 μB per formula unit.

Compound: Hg3Sb3H6C2Se8N
Source: the Materials Project
Functional: PBE-GGA
Structure: optimized geometry

Cell lengths 11.9604, 16.2511, 11.2995 Å; angles 90.00, 90.00, 90.00 degrees
Closest atoms and distances in Å follow each position.
Space group Aem2 (No. 39)
Unique sites:
Hg 0.0000 0.0000 0.0000 [4 per cell]  4 Se 2.72-2.73
Hg 0.1772 0.1241 0.2544 [8 per cell]  4 Se 2.68-2.74
Sb 0.0163 0.2500 0.5140 [4 per cell]  3 Se 2.62
Sb 0.3364 0.0136 0.9802 [8 per cell]  3 Se 2.58-2.65
H 0.2392 0.2500 0.7542 [4 per cell]  1 C 1.09
H 0.3620 0.1961 0.8058 [8 per cell]  1 C 1.12
H 0.4717 0.1960 0.1852 [8 per cell]  1 C 1.12
H 0.4751 0.2500 0.0450 [4 per cell]  1 C 1.09
C 0.3307 0.2500 0.7543 [4 per cell]  3 H 1.09-1.12
C 0.4936 0.2500 0.6361 [4 per cell]  3 H 1.09-1.12
Se 0.0290 0.1340 0.8595 [8 per cell]  1 Sb 2.62, 2 Hg 2.72-2.74
Se 0.1829 0.0245 0.6401 [8 per cell]  1 Sb 2.65, 2 Hg 2.73-2.74
Se 0.1890 0.2500 0.0938 [4 per cell]  1 Sb 2.62, 2 Hg 2.74
Se 0.3562 0.1334 0.3969 [8 per cell]  1 Sb 2.58, 1 Hg 2.68
Se 0.5000 0.0000 0.1340 [4 per cell]  2 Sb 2.63
N 0.3755 0.2500 0.6377 [4 per cell]  2 C 1.41-1.42

Output
The formation energy is -0.07 eV/atom. The crystal system is orthorhombic. The value obtained for the magnetization is 0.0 μB per formula unit.